[1]
MgMn12O14F10 | the Materials Project | PBE+U | relaxed; energy above the most stable polymorph in this dataset = 0.93 kcal/mol of atoms
1.0
4.8134 0.0279 0.0234
0.0335 5.7138 0.0302
0.0843 0.0803 15.3669
Mg Mn O F
1 12 14 10
Direct
0.9846 0.3916 0.5851
0.0068 0.1382 0.3977
0.0180 0.8337 0.2352
0.0239 0.1699 0.0791
0.0290 0.1669 0.7556
0.0251 0.8607 0.5788
0.0248 0.8548 0.9172
0.4886 0.3622 0.5971
0.4963 0.3417 0.9234
0.4986 0.3403 0.2516
0.5112 0.6315 0.0930
0.5053 0.6448 0.4200
0.4852 0.6503 0.7544
0.2215 0.0998 0.2915
0.2175 0.1375 0.6402
0.2146 0.1201 0.9708
0.2345 0.8811 0.1314
0.2220 0.8856 0.4643
0.2263 0.8935 0.8087
0.2874 0.3994 0.1453
0.2505 0.6137 0.6373
0.2956 0.4011 0.8162
0.7261 0.3840 0.0284
0.7227 0.6119 0.1942
0.7010 0.3643 0.3616
0.7100 0.6037 0.5317
0.7505 0.3786 0.6964
0.2545 0.6071 0.3178
0.2276 0.3731 0.4806
0.2822 0.6189 0.9847
0.7498 0.6247 0.8684
0.7768 0.1195 0.1807
0.7670 0.1316 0.5272
0.7670 0.8658 0.3434
0.7611 0.8668 0.0235
0.7689 0.1254 0.8573
0.7535 0.8755 0.6934

[2]
VASP calculation (PBE+U) on a relaxed structure of KEuMnBiO6.

Cell and atoms, written as POSCAR:
```
KEuMnBiO6
1.0
2.5824 3.6748 -3.6389
1.9724 -1.8858 -5.0959
-2.6552 1.5720 -4.8881
K Eu Mn Bi O
1 1 1 1 6
Direct
0.7500 0.7500 0.7500
0.2500 0.2500 0.2500
0.5000 0.5000 0.5000
0.0000 0.0000 0.0000
0.7393 0.2607 0.2607
0.2607 0.7393 0.7393
0.7393 0.2607 0.7393
0.2607 0.7393 0.2607
0.7393 0.7393 0.2607
0.2607 0.2607 0.7393
```

[3]
Na5LiFe2P2C2O14 | the Materials Project | PBE+U | relaxed; energy above the most stable polymorph in this dataset = 0.09 kcal/mol of atoms
1.0
-4.1359 2.7283 -4.3454
-1.2455 -8.0238 -3.8524
-7.9933 -2.0326 6.3317
Na Li Fe P C O
10 2 4 4 4 28
Direct
0.4968 0.0815 0.8802
0.5032 0.0815 0.3802
0.2513 0.2606 0.6249
0.7491 0.2606 0.6247
0.2509 0.2606 0.1247
0.7487 0.2606 0.1249
0.7521 0.7399 0.8754
0.2479 0.7399 0.3754
0.0005 0.9159 0.6198
0.9995 0.9159 0.1198
0.2462 0.7289 0.8774
0.7538 0.7289 0.3774
0.9995 0.3564 0.8927
0.0005 0.3564 0.3927
0.5022 0.6470 0.6067
0.4978 0.6470 0.1067
0.4956 0.4172 0.8491
0.5044 0.4172 0.3491
0.0041 0.5889 0.6496
0.9959 0.5889 0.1496
0.0067 0.0547 0.8661
0.9933 0.0547 0.3661
0.4981 0.9398 0.6356
0.5019 0.9398 0.1356
0.4999 0.0836 0.6431
0.5001 0.0836 0.1431
0.9995 0.1197 0.9772
0.0005 0.1197 0.4772
0.9987 0.1374 0.7615
0.0013 0.1374 0.2615
0.3107 0.3181 0.8901
0.6865 0.3267 0.8938
0.3135 0.3267 0.3938
0.6893 0.3181 0.3901
0.5001 0.4343 0.6997
0.0004 0.4334 0.5888
0.4999 0.4343 0.1997
0.9996 0.4334 0.0888
0.4838 0.5729 0.9096
0.0120 0.5729 0.7998
0.5162 0.5729 0.4096
0.9880 0.5729 0.2998
0.8146 0.6827 0.6081
0.1903 0.6819 0.6033
0.8097 0.6819 0.1033
0.1854 0.6827 0.1081
0.4945 0.8561 0.7395
0.5055 0.8561 0.2395
0.5007 0.8778 0.5233
0.4993 0.8778 0.0233
0.0210 0.9111 0.8599
0.9790 0.9111 0.3599

[4]
Li2Si3NiO8 | the Materials Project | PBE+U | relaxed; piezoelectric modulus e_max = 0.00 C/m2; energy above the most stable polymorph in this dataset = 0.01 kcal/mol of atoms
1.0
7.9353 0.0000 0.0000
0.0000 7.9353 0.0000
0.0000 0.0000 7.9353
Li Si Ni O
8 12 4 32
Direct
0.0078 0.0078 0.0078
0.2422 0.2422 0.2422
0.2578 0.7578 0.7422
0.4922 0.9922 0.5078
0.5078 0.4922 0.9922
0.7422 0.2578 0.7578
0.7578 0.7422 0.2578
0.9922 0.5078 0.4922
0.1149 0.1351 0.6250
0.1250 0.3851 0.8649
0.1351 0.6250 0.1149
0.3649 0.3750 0.6149
0.3750 0.6149 0.3649
0.3851 0.8649 0.1250
0.6149 0.3649 0.3750
0.6250 0.1149 0.1351
0.6351 0.8750 0.8851
0.8649 0.1250 0.3851
0.8750 0.8851 0.6351
0.8851 0.6351 0.8750
0.1250 0.8750 0.3750
0.3750 0.1250 0.8750
0.6250 0.6250 0.6250
0.8750 0.3750 0.1250
0.0874 0.1338 0.3988
0.1012 0.9126 0.6338
0.1186 0.6186 0.8814
0.1162 0.1626 0.8512
0.1338 0.3988 0.0874
0.1314 0.3686 0.6314
0.1488 0.6162 0.3374
0.1626 0.8512 0.1162
0.3374 0.1488 0.6162
0.3512 0.3838 0.8374
0.3686 0.6314 0.1314
0.3662 0.6012 0.5874
0.3838 0.8374 0.3512
0.3814 0.3814 0.3814
0.3988 0.0874 0.1338
0.4126 0.8662 0.8988
0.5874 0.3662 0.6012
0.6012 0.5874 0.3662
0.6186 0.8814 0.1186
0.6162 0.3374 0.1488
0.6338 0.1012 0.9126
0.6314 0.1314 0.3686
0.6488 0.8838 0.6626
0.6626 0.6488 0.8838
0.8374 0.3512 0.3838
0.8512 0.1162 0.1626
0.8686 0.8686 0.8686
0.8662 0.8988 0.4126
0.8838 0.6626 0.6488
0.8814 0.1186 0.6186
0.8988 0.4126 0.8662
0.9126 0.6338 0.1012

[5]
CrHg3F6 | the Materials Project | PBE+U | relaxed; energy above the most stable polymorph in this dataset = 0.00 kcal/mol of atoms
1.0
-2.9358 -4.9383 1.0240
-3.4286 5.3787 -0.4287
0.9936 2.8239 -7.4602
Cr Hg F
1 3 6
Direct
0.0000 0.0000 0.0000
0.0000 0.0000 0.5000
0.5000 0.5000 0.0000
0.0000 0.5000 0.0000
0.0817 0.2323 0.7874
0.9183 0.7677 0.2126
0.8120 0.7625 0.6627
0.1880 0.2375 0.3373
0.5714 0.8886 0.8543
0.4286 0.1114 0.1457

[6]
Li4Fe5NiO12 | the Materials Project | PBE+U | relaxed; energy above the most stable polymorph in this dataset = 0.00 kcal/mol of atoms
1.0
4.4036 2.6080 0.0000
-4.4036 2.6080 0.0000
0.0000 0.0027 10.3272
Li Fe Ni O
4 5 1 12
Direct
0.3479 0.8518 0.7512
0.1482 0.6521 0.2488
0.8518 0.3479 0.7512
0.6521 0.1482 0.2488
0.1659 0.8341 0.5000
0.6662 0.3338 0.0000
0.3338 0.6662 0.0000
0.8341 0.1659 0.5000
0.5000 0.5000 0.5000
0.0000 0.0000 0.0000
0.3359 0.9692 0.1082
0.0308 0.6641 0.8918
0.4787 0.8305 0.3915
0.8305 0.4787 0.3915
0.1695 0.5213 0.6085
0.8395 0.8395 0.5963
0.5213 0.1695 0.6085
0.9692 0.3359 0.1082
0.6481 0.6481 0.0945
0.6641 0.0308 0.8918
0.3519 0.3519 0.9055
0.1605 0.1605 0.4037

| no. | energy (eV/atom) | V (Å³ per atom) |
| --- | --- | --- |
| 1 | -6.712 | 11.4 |
| 2 | -6.778 | 13.7 |
| 3 | -6.510 | 11.8 |
| 4 | -6.835 | 8.9 |
| 5 | -3.461 | 22.7 |
| 6 | -5.870 | 10.8 |